Computed, not measured: a relaxed structure of LaCo4B4 at the PBE level of DFT.

Output
VASP energy: -0.5234 Ry per atom
Crystal system: tetragonal
Energy relative to the elements: -0.445 eV/atom

a b c (Å): 7.1400 7.1400 3.7922
angles (deg): 90.00 90.00 90.00
With the nearest neighbours (Å) after each atom.
Element x y z (fractional)
La (0.2500, 0.2500, 0.2500)  8 B 2.82-2.86, 8 Co 2.96-3.07
La (0.7500, 0.7500, 0.7500)  8 B 2.82-2.86, 8 Co 2.96-3.07
Co (0.1069, 0.6352, 0.1447)  4 B 2.00-2.05
Co (0.1352, 0.8931, 0.6447)  4 B 2.00-2.05
Co (0.3648, 0.6069, 0.6447)  4 B 2.00-2.05
Co (0.3931, 0.8648, 0.1447)  4 B 2.00-2.05
Co (0.6069, 0.1352, 0.8553)  4 B 2.00-2.05
Co (0.6352, 0.3931, 0.3553)  4 B 2.00-2.05
Co (0.8648, 0.1069, 0.3553)  4 B 2.00-2.05
Co (0.8931, 0.3648, 0.8553)  4 B 2.00-2.05
B (0.0436, 0.9106, 0.1470)  1 B 1.81, 3 Co 2.00-2.02
B (0.0894, 0.5436, 0.6470)  1 B 1.81, 3 Co 2.00-2.02
B (0.4106, 0.9564, 0.6470)  1 B 1.81, 3 Co 2.00-2.02
B (0.4564, 0.5894, 0.1470)  1 B 1.81, 3 Co 2.00-2.02
B (0.5436, 0.4106, 0.8530)  1 B 1.81, 3 Co 2.00-2.02
B (0.5894, 0.0436, 0.3530)  1 B 1.81, 3 Co 2.00-2.02
B (0.9106, 0.4564, 0.3530)  1 B 1.81, 3 Co 2.00-2.02
B (0.9564, 0.0894, 0.8530)  1 B 1.81, 3 Co 2.00-2.02

---

Computed, not measured: a relaxed structure of CaCu2Te2O8 at the PBE level of DFT.

Output
VASP energy: -0.3987 Ry per atom
Crystal system: monoclinic
Energy relative to the elements: -1.534 eV/atom

a b c (Å): 6.7289 8.8036 13.2029
angles (deg): 90.00 91.26 90.00
With the nearest neighbours (Å) after each atom.
Element x y z (fractional)
Ca (0.1267, 0.1587, 0.0449)  6 O 2.24-2.40
Ca (0.1267, 0.3413, 0.5449)  6 O 2.24-2.40
Ca (0.8733, 0.6587, 0.4551)  6 O 2.24-2.40
Ca (0.8733, 0.8413, 0.9551)  6 O 2.24-2.40
Cu (0.2727, 0.6931, 0.6166)  4 O 1.91-2.03
Cu (0.2727, 0.8069, 0.1166)  4 O 1.91-2.03
Cu (0.3964, 0.0535, 0.6298)  4 O 1.89-2.03
Cu (0.3964, 0.4465, 0.1298)  4 O 1.89-2.03
Cu (0.6036, 0.5535, 0.8702)  4 O 1.89-2.03
Cu (0.6036, 0.9465, 0.3702)  4 O 1.89-2.03
Cu (0.7273, 0.1931, 0.8834)  4 O 1.91-2.03
Cu (0.7273, 0.3069, 0.3834)  4 O 1.91-2.03
Te (0.0875, 0.0442, 0.3419)  4 O 1.84-1.88
Te (0.0875, 0.4558, 0.8419)  4 O 1.84-1.88
Te (0.3532, 0.6075, 0.3581)  3 O 1.88-2.05
Te (0.3532, 0.8925, 0.8581)  3 O 1.88-2.05
Te (0.6468, 0.1075, 0.1419)  3 O 1.88-2.05
Te (0.6468, 0.3925, 0.6419)  3 O 1.88-2.05
Te (0.9125, 0.5442, 0.1581)  4 O 1.84-1.88
Te (0.9125, 0.9558, 0.6581)  4 O 1.84-1.88
O (0.0143, 0.2369, 0.3895)  1 Te 1.88, 1 Cu 2.03
O (0.0143, 0.2631, 0.8895)  1 Te 1.88, 1 Cu 2.03
O (0.0948, 0.0331, 0.2027)  1 Te 1.84
O (0.0948, 0.4669, 0.7027)  1 Te 1.84
O (0.1012, 0.0943, 0.6103)  1 Te 1.88, 1 Cu 2.03
O (0.1012, 0.4057, 0.1103)  1 Te 1.88, 1 Cu 2.03
O (0.2100, 0.5865, 0.4930)  1 Cu 1.92, 1 Te 2.05
O (0.2100, 0.9135, 0.9930)  1 Cu 1.92, 1 Te 2.05
O (0.3284, 0.5148, 0.9028)  1 Te 1.87, 1 Cu 1.94
O (0.3284, 0.9852, 0.4028)  1 Te 1.87, 1 Cu 1.94
O (0.3444, 0.6326, 0.1958)  2 Cu 1.89-1.91
O (0.3444, 0.8674, 0.6958)  2 Cu 1.89-1.91
O (0.4301, 0.2333, 0.0984)  1 Te 1.91, 1 Cu 1.94
O (0.4301, 0.2667, 0.5984)  1 Te 1.91, 1 Cu 1.94
O (0.4768, 0.0836, 0.8583)  1 Te 1.88, 1 Cu 1.96
O (0.4768, 0.4164, 0.3583)  1 Te 1.88, 1 Cu 1.96
O (0.5232, 0.5836, 0.6417)  1 Te 1.88, 1 Cu 1.96
O (0.5232, 0.9164, 0.1417)  1 Te 1.88, 1 Cu 1.96
O (0.5699, 0.7333, 0.4016)  1 Te 1.91, 1 Cu 1.94
O (0.5699, 0.7667, 0.9016)  1 Te 1.91, 1 Cu 1.94
O (0.6556, 0.1326, 0.3042)  2 Cu 1.89-1.91
O (0.6556, 0.3674, 0.8042)  2 Cu 1.89-1.91
O (0.6716, 0.0148, 0.5972)  1 Te 1.87, 1 Cu 1.94
O (0.6716, 0.4852, 0.0972)  1 Te 1.87, 1 Cu 1.94
O (0.7900, 0.0865, 0.0070)  1 Cu 1.92, 1 Te 2.05
O (0.7900, 0.4135, 0.5070)  1 Cu 1.92, 1 Te 2.05
O (0.8988, 0.5943, 0.8897)  1 Te 1.88, 1 Cu 2.03
O (0.8988, 0.9057, 0.3897)  1 Te 1.88, 1 Cu 2.03
O (0.9052, 0.5331, 0.2973)  1 Te 1.84
O (0.9052, 0.9669, 0.7973)  1 Te 1.84
O (0.9857, 0.7369, 0.1105)  1 Te 1.88, 1 Cu 2.03
O (0.9857, 0.7631, 0.6105)  1 Te 1.88, 1 Cu 2.03

---

Computed, not measured: a relaxed structure of GaHO2 at the PBE level of DFT.

Output
VASP energy: -0.3945 Ry per atom
Crystal system: triclinic
Energy relative to the elements: -1.632 eV/atom

a b c (Å): 5.2482 5.2482 6.0096
angles (deg): 113.55 113.55 94.88
With the nearest neighbours (Å) after each atom.
Element x y z (fractional)
Ga (0.0000, 0.0000, 0.0000)  5 O 1.93-2.08
Ga (0.1293, 0.8454, 0.4863)  6 O 1.95-2.17
Ga (0.4000, 0.6045, 0.9936)  6 O 2.01-2.20
Ga (0.7489, 0.2475, 0.4855)  6 O 1.98-2.19
H (0.2477, 0.3932, 0.4034)  1 O 0.94
H (0.5796, 0.2237, 0.0654)  1 O 1.05
H (0.5856, 0.7286, 0.5692)  1 O 1.04
H (0.7434, 0.4026, 0.9031)  1 O 0.97
O (0.0622, 0.6665, 0.7303)  4 Ga 2.01-2.15
O (0.0794, 0.1733, 0.7542)  3 Ga 1.95-2.16
O (0.0999, 0.4134, 0.2638)  1 H 0.94
O (0.3174, 0.9312, 0.2522)  2 Ga 1.93-2.02
O (0.5777, 0.4023, 0.2263)  1 H 1.05
O (0.5777, 0.9011, 0.7284)  1 H 1.04
O (0.5897, 0.4276, 0.7621)  1 H 0.97
O (0.8102, 0.9076, 0.2150)  4 Ga 1.98-2.09

---

Computed, not measured: a relaxed structure of NpH3 at the PBE level of DFT.

Output
VASP energy: -0.4421 Ry per atom
Crystal system: tetragonal
Energy relative to the elements: -0.367 eV/atom

a b c (Å): 3.9082 3.9082 3.9082
angles (deg): 128.95 128.95 75.09
With the nearest neighbours (Å) after each atom.
Element x y z (fractional)
Np (0.0000, 0.0000, 0.0000)  12 H 2.29-2.38
H (0.2500, 0.7500, 0.5000)  8 H 2.29-2.38, 4 Np 2.29
H (0.5000, 0.5000, 0.0000)  8 H 2.29, 4 Np 2.38
H (0.7500, 0.2500, 0.5000)  8 H 2.29-2.38, 4 Np 2.29

---

Computed, not measured: a relaxed structure of RbMg6Mo at the PBE level of DFT.

Output
VASP energy: -0.1640 Ry per atom
Crystal system: hexagonal
Relative energy among the computed polymorphs: 50 meV per atom
Energy relative to the elements: 0.448 eV/atom

a b c (Å): 6.4633 6.4633 5.1369
angles (deg): 90.00 90.00 120.00
With the nearest neighbours (Å) after each atom.
Element x y z (fractional)
Rb (0.0000, 0.0000, 0.0000)  12 Mg 3.23-3.24
Mg (0.0362, 0.5181, 0.0000)  6 Mg 2.88-3.22, 2 Mo 3.06
Mg (0.3506, 0.1753, 0.5000)  8 Mg 3.06-3.40, 2 Rb 3.23, 2 Mo 3.23
Mg (0.4819, 0.5181, 0.0000)  6 Mg 2.88-3.22, 2 Mo 3.06
Mg (0.4819, 0.9638, 0.0000)  6 Mg 2.88-3.22, 2 Mo 3.06
Mg (0.8247, 0.1753, 0.5000)  8 Mg 3.06-3.40, 2 Rb 3.23, 2 Mo 3.23
Mg (0.8247, 0.6494, 0.5000)  8 Mg 3.06-3.40, 2 Rb 3.23, 2 Mo 3.23
Mo (0.3333, 0.6667, 0.5000)  12 Mg 3.06-3.23

---

Computed, not measured: a relaxed structure of K3HS2O8 at the PBE level of DFT.

Output
VASP energy: -0.4132 Ry per atom
Crystal system: monoclinic
Relative energy among the computed polymorphs: 0 meV per atom
Energy relative to the elements: -2.115 eV/atom

a b c (Å): 8.0421 8.0421 9.9482
angles (deg): 101.98 101.98 42.10
With the nearest neighbours (Å) after each atom.
Element x y z (fractional)
K (0.0370, 0.5780, 0.3477)  9 O 2.88-3.05
K (0.2471, 0.7529, 0.7500)  6 O 2.75-2.94, 2 H 2.88
K (0.4220, 0.9630, 0.1523)  9 O 2.88-3.05
K (0.5780, 0.0370, 0.8477)  9 O 2.88-3.05
K (0.7529, 0.2471, 0.2500)  6 O 2.75-2.94, 2 H 2.88
K (0.9630, 0.4220, 0.6523)  9 O 2.88-3.05
H (0.5000, 0.5000, 0.0000)  2 O 1.22
H (0.5000, 0.5000, 0.5000)  2 O 1.22
S (0.1605, 0.6078, 0.0370)  4 O 1.47-1.56
S (0.3922, 0.8395, 0.4630)  4 O 1.47-1.56
S (0.6078, 0.1605, 0.5370)  4 O 1.47-1.56
S (0.8395, 0.3922, 0.9630)  4 O 1.47-1.56
O (0.0685, 0.1855, 0.8915)  1 S 1.47
O (0.1077, 0.5871, 0.8860)  1 S 1.48
O (0.1855, 0.0685, 0.3915)  1 S 1.47
O (0.3093, 0.6683, 0.0582)  1 H 1.22
O (0.3236, 0.3679, 0.0968)  1 S 1.48
O (0.3317, 0.6907, 0.4418)  1 H 1.22
O (0.3679, 0.3236, 0.5968)  1 S 1.48
O (0.4129, 0.8923, 0.6140)  1 S 1.48
O (0.5871, 0.1077, 0.3860)  1 S 1.48
O (0.6321, 0.6764, 0.4032)  1 S 1.48
O (0.6683, 0.3093, 0.5582)  1 H 1.22
O (0.6764, 0.6321, 0.9032)  1 S 1.48
O (0.6907, 0.3317, 0.9418)  1 H 1.22
O (0.8145, 0.9315, 0.6085)  1 S 1.47
O (0.8923, 0.4129, 0.1140)  1 S 1.48
O (0.9315, 0.8145, 0.1085)  1 S 1.47

---

Computed, not measured: a relaxed structure of Sr2GdMgRuO6 at the PBE level of DFT.

Output
VASP energy: -0.5422 Ry per atom
Crystal system: monoclinic
Relative energy among the computed polymorphs: 145 meV per atom
Energy relative to the elements: -2.478 eV/atom

a b c (Å): 5.8577 5.8577 5.7897
angles (deg): 113.62 113.62 62.66
With the nearest neighbours (Å) after each atom.
Element x y z (fractional)
Sr (0.1855, 0.1855, 0.1715)  3 O 2.49-2.59
Sr (0.8145, 0.8145, 0.8285)  3 O 2.49-2.59
Gd (0.5000, 0.5000, 0.0000)  6 O 2.23-2.42
Mg (0.5000, 0.5000, 0.5000)  4 O 2.03
Ru (0.0000, 0.0000, 0.5000)  6 O 2.09-2.19
O (0.2026, 0.6901, 0.2309)  1 Mg 2.03, 1 Ru 2.09, 1 Gd 2.23
O (0.2445, 0.2445, 0.6402)  1 Ru 2.19, 1 Gd 2.42
O (0.3099, 0.7974, 0.7691)  1 Mg 2.03, 1 Ru 2.09, 1 Gd 2.23
O (0.6901, 0.2026, 0.2309)  1 Mg 2.03, 1 Ru 2.09, 1 Gd 2.23
O (0.7555, 0.7555, 0.3598)  1 Ru 2.19, 1 Gd 2.42
O (0.7974, 0.3099, 0.7691)  1 Mg 2.03, 1 Ru 2.09, 1 Gd 2.23

---

Computed, not measured: a relaxed structure of Ba17U11O42 at the PBE level of DFT.

Output
VASP energy: -0.6060 Ry per atom
Crystal system: triclinic
Energy relative to the elements: -3.448 eV/atom

a b c (Å): 8.9591 10.9026 14.2367
angles (deg): 96.84 90.68 113.46
With the nearest neighbours (Å) after each atom.
Element x y z (fractional)
Ba (0.0000, 0.0000, 0.0000)  6 O 2.57-2.58
Ba (0.0384, 0.5746, 0.3537)  3 O 2.70-2.79
Ba (0.1070, 0.7105, 0.0717)  4 O 2.73-3.05
Ba (0.1434, 0.2858, 0.4279)  6 O 2.57-2.60
Ba (0.1791, 0.8601, 0.7839)  3 O 2.68-2.74
Ba (0.2525, 0.9962, 0.5000)  3 O 2.66-2.78
Ba (0.3230, 0.1440, 0.2111)  3 O 2.62-2.74
Ba (0.3971, 0.2863, 0.9287)  3 O 2.67-2.72
Ba (0.4652, 0.4330, 0.6446)  3 O 2.64-2.75
Ba (0.5348, 0.5670, 0.3554)  3 O 2.64-2.75
Ba (0.6029, 0.7137, 0.0713)  3 O 2.67-2.72
Ba (0.6770, 0.8560, 0.7889)  3 O 2.62-2.74
Ba (0.7475, 0.0038, 0.5000)  3 O 2.66-2.78
Ba (0.8209, 0.1399, 0.2161)  3 O 2.68-2.74
Ba (0.8566, 0.7142, 0.5721)  6 O 2.57-2.60
Ba (0.8930, 0.2895, 0.9283)  4 O 2.73-3.05
Ba (0.9616, 0.4254, 0.6463)  3 O 2.70-2.79
U (0.0761, 0.1496, 0.7158)  4 O 2.05-2.29
U (0.2178, 0.4355, 0.1391)  6 O 2.08-2.31
U (0.2855, 0.5726, 0.8572)  6 O 2.23-2.26
U (0.3614, 0.7204, 0.5727)  4 O 2.05-2.27
U (0.4290, 0.8573, 0.2858)  6 O 2.23-2.27
U (0.5000, 0.0000, 0.0000)  2 O 2.03
U (0.5710, 0.1427, 0.7142)  6 O 2.23-2.27
U (0.6386, 0.2796, 0.4273)  4 O 2.05-2.27
U (0.7145, 0.4274, 0.1428)  6 O 2.23-2.26
U (0.7822, 0.5645, 0.8609)  6 O 2.08-2.31
U (0.9239, 0.8504, 0.2842)  4 O 2.05-2.29
O (0.0145, 0.9560, 0.1727)  1 U 2.06
O (0.0290, 0.9690, 0.6261)  1 U 2.10
O (0.0440, 0.5820, 0.8886)  2 U 2.25-2.30
O (0.1289, 0.6979, 0.5337)  1 U 2.06
O (0.1304, 0.3339, 0.2553)  1 U 2.09
O (0.1428, 0.3515, 0.8097)  2 U 2.24-2.29
O (0.1614, 0.2572, 0.6048)  1 U 2.05
O (0.1677, 0.2544, 0.0525)  1 U 2.08
O (0.1886, 0.8664, 0.3148)  2 U 2.24-2.34
O (0.2710, 0.6187, 0.7095)  2 U 2.23-2.35
O (0.2705, 0.9799, 0.9632)  1 U 2.03
O (0.2847, 0.6352, 0.2313)  2 U 2.26-2.27
O (0.2980, 0.5373, 0.0099)  2 U 2.24-2.26
O (0.3210, 0.5368, 0.4892)  1 U 2.10
O (0.3390, 0.1649, 0.7461)  2 U 2.23-2.33
O (0.4055, 0.2535, 0.3881)  1 U 2.05
O (0.4122, 0.9028, 0.1363)  2 U 2.26-2.32
O (0.4212, 0.9234, 0.6620)  2 U 2.25-2.27
O (0.4324, 0.7905, 0.9113)  2 U 2.24-2.32
O (0.4471, 0.8211, 0.4363)  2 U 2.24-2.33
O (0.4801, 0.4535, 0.1680)  2 U 2.26-2.31
O (0.5199, 0.5465, 0.8320)  2 U 2.26-2.31
O (0.5529, 0.1789, 0.5637)  2 U 2.24-2.33
O (0.5676, 0.2095, 0.0887)  2 U 2.24-2.32
O (0.5788, 0.0766, 0.3380)  2 U 2.25-2.27
O (0.5878, 0.0972, 0.8637)  2 U 2.26-2.32
O (0.5945, 0.7465, 0.6119)  1 U 2.05
O (0.6610, 0.8351, 0.2539)  2 U 2.23-2.33
O (0.6790, 0.4632, 0.5108)  1 U 2.10
O (0.7020, 0.4627, 0.9901)  2 U 2.24-2.26
O (0.7153, 0.3648, 0.7687)  2 U 2.26-2.27
O (0.7295, 0.0201, 0.0368)  1 U 2.03
O (0.7290, 0.3813, 0.2905)  2 U 2.23-2.35
O (0.8114, 0.1336, 0.6852)  2 U 2.24-2.34
O (0.8323, 0.7456, 0.9475)  1 U 2.08
O (0.8386, 0.7428, 0.3952)  1 U 2.05
O (0.8572, 0.6485, 0.1903)  2 U 2.24-2.29
O (0.8696, 0.6661, 0.7447)  1 U 2.09
O (0.8711, 0.3021, 0.4663)  1 U 2.06
O (0.9560, 0.4180, 0.1114)  2 U 2.25-2.30
O (0.9710, 0.0310, 0.3739)  1 U 2.10
O (0.9855, 0.0440, 0.8273)  1 U 2.06